# Li9Mn2Co5O16 (PBE with a Hubbard U, optimized geometry)
# Total energy   -185.988 eV/f.u.
# Theoretical density   4.22 g/cm³
# Total magnetic moment   14.0 Bohr magnetons per cell
# Energy of formation   -58.292 eV/f.u.
data_Li9Mn2Co5O16
_symmetry_space_group_name_H-M 'P 1'
_symmetry_Int_Tables_number 1
_cell_length_a 5.950
_cell_length_b 6.435
_cell_length_c 8.099
_cell_angle_alpha 89.06
_cell_angle_beta 89.26
_cell_angle_gamma 66.50
loop_
_symmetry_equiv_pos_as_xyz
'x,y,z'
loop_
_atom_site_label
_atom_site_fract_x
_atom_site_fract_y
_atom_site_fract_z
Li1 0.000 0.000 0.000
Li2 0.016 0.989 0.500
Li3 0.133 0.233 0.737
Li4 0.285 0.478 0.500
Li5 0.380 0.751 0.259
Li6 0.530 0.982 0.001
Li7 0.652 0.231 0.741
Li8 0.744 0.504 0.499
Li9 0.895 0.749 0.262
Mn1 0.263 0.492 0.998
Mn2 0.765 0.491 0.001
Co1 0.140 0.236 0.253
Co2 0.377 0.751 0.747
Co3 0.514 0.992 0.499
Co4 0.655 0.230 0.252
Co5 0.885 0.747 0.747
O1 0.007 0.973 0.752
O2 0.030 0.004 0.249
O3 0.106 0.272 0.008
O4 0.187 0.212 0.485
O5 0.254 0.479 0.239
O6 0.277 0.501 0.758
O7 0.398 0.755 0.513
O8 0.422 0.714 0.991
O9 0.493 0.986 0.737
O10 0.533 0.997 0.262
O11 0.633 0.226 0.485
O12 0.648 0.249 0.012
O13 0.752 0.483 0.240
O14 0.775 0.501 0.762
O15 0.843 0.769 0.515
O16 0.880 0.730 0.990